{"formula": "Y6Mn23", "functional": "PBE", "state": "optimized geometry", "lattice_angstrom": [[0.0000, 6.0442, 6.0442], [6.0442, 0.0000, 6.0442], [6.0442, 6.0442, 0.0000]], "species": ["Y", "Y", "Y", "Y", "Y", "Y", "Mn", "Mn", "Mn", "Mn", "Mn", "Mn", "Mn", "Mn", "Mn", "Mn", "Mn", "Mn", "Mn", "Mn", "Mn", "Mn", "Mn", "Mn", "Mn", "Mn", "Mn", "Mn", "Mn"], "fractional_positions": [[0.2052, 0.2052, 0.7948], [0.2052, 0.7948, 0.2052], [0.2052, 0.7948, 0.7948], [0.7948, 0.2052, 0.2052], [0.7948, 0.2052, 0.7948], [0.7948, 0.7948, 0.2052], [0.0000, 0.0000, 0.5000], [0.0000, 0.5000, 0.0000], [0.0000, 0.5000, 0.5000], [0.1338, 0.6221, 0.6221], [0.1779, 0.1779, 0.1779], [0.1779, 0.1779, 0.4664], [0.1779, 0.4664, 0.1779], [0.3779, 0.3779, 0.3779], [0.3779, 0.3779, 0.8662], [0.3779, 0.8662, 0.3779], [0.4664, 0.1779, 0.1779], [0.5000, 0.0000, 0.0000], [0.5000, 0.0000, 0.5000], [0.5000, 0.5000, 0.0000], [0.5000, 0.5000, 0.5000], [0.5336, 0.8221, 0.8221], [0.6221, 0.1338, 0.6221], [0.6221, 0.6221, 0.1338], [0.6221, 0.6221, 0.6221], [0.8221, 0.5336, 0.8221], [0.8221, 0.8221, 0.5336], [0.8221, 0.8221, 0.8221], [0.8662, 0.3779, 0.3779]], "delta_e_f_ev_per_atom": 0.10}


{"formula": "HoTaTiO6", "functional": "PBE", "state": "optimized geometry", "lattice_angstrom": [[5.2279, 0.0000, 0.0000], [0.0000, 14.6883, 0.0000], [-0.0324, 0.0000, 5.6319]], "species": ["Ho", "Ho", "Ho", "Ho", "Ta", "Ta", "Ta", "Ta", "Ti", "Ti", "Ti", "Ti", "O", "O", "O", "O", "O", "O", "O", "O", "O", "O", "O", "O", "O", "O", "O", "O", "O", "O", "O", "O", "O", "O", "O", "O"], "fractional_positions": [[0.2467, 0.0002, 0.2307], [0.2467, 0.4998, 0.7307], [0.7533, 0.9998, 0.7693], [0.7533, 0.5002, 0.2693], [0.3260, 0.1684, 0.6749], [0.3260, 0.3316, 0.1749], [0.6740, 0.6684, 0.8251], [0.6740, 0.8316, 0.3251], [0.1783, 0.6649, 0.1840], [0.1783, 0.8351, 0.6840], [0.8217, 0.1649, 0.3160], [0.8217, 0.3351, 0.8160], [0.0331, 0.0920, 0.5642], [0.0331, 0.4080, 0.0642], [0.0818, 0.5859, 0.4066], [0.0818, 0.9141, 0.9066], [0.1554, 0.2384, 0.3637], [0.1554, 0.2616, 0.8637], [0.3491, 0.7405, 0.8572], [0.3491, 0.7595, 0.3572], [0.4185, 0.0844, 0.9093], [0.4185, 0.4156, 0.4093], [0.4650, 0.5923, 0.0675], [0.4650, 0.9077, 0.5675], [0.5350, 0.0923, 0.4325], [0.5350, 0.4077, 0.9325], [0.5815, 0.5844, 0.5907], [0.5815, 0.9156, 0.0907], [0.6509, 0.2405, 0.6428], [0.6509, 0.2595, 0.1428], [0.8446, 0.7384, 0.1363], [0.8446, 0.7616, 0.6363], [0.9182, 0.0859, 0.0934], [0.9182, 0.4141, 0.5934], [0.9669, 0.5920, 0.9358], [0.9669, 0.9080, 0.4358]], "delta_e_f_ev_per_atom": -3.66, "energy_mp2020_ev_per_atom": -9.6607}


{"formula": "GeS2", "functional": "PBE", "state": "optimized geometry", "lattice_angstrom": [[-5.6377, 5.6377, 9.5986], [5.6377, -5.6377, 9.5986], [5.6377, 5.6377, -9.5986]], "species": ["Ge", "Ge", "Ge", "Ge", "Ge", "Ge", "Ge", "Ge", "Ge", "Ge", "Ge", "Ge", "Ge", "Ge", "Ge", "Ge", "S", "S", "S", "S", "S", "S", "S", "S", "S", "S", "S", "S", "S", "S", "S", "S", "S", "S", "S", "S", "S", "S", "S", "S", "S", "S", "S", "S", "S", "S", "S", "S"], "fractional_positions": [[0.0641, 0.2813, 0.9675], [0.0966, 0.0641, 0.2829], [0.1863, 0.9034, 0.4675], [0.2187, 0.4359, 0.5325], [0.2813, 0.8137, 0.2171], [0.3137, 0.7813, 0.7171], [0.4034, 0.6863, 0.9675], [0.4359, 0.4034, 0.2171], [0.5641, 0.5966, 0.7829], [0.5966, 0.3137, 0.0325], [0.6863, 0.2187, 0.2829], [0.7187, 0.1863, 0.7829], [0.7813, 0.5641, 0.4675], [0.8137, 0.0966, 0.5325], [0.9034, 0.9359, 0.7171], [0.9359, 0.7187, 0.0325], [0.0128, 0.2628, 0.7500], [0.0421, 0.2500, 0.2921], [0.0910, 0.6408, 0.9828], [0.1082, 0.0910, 0.9503], [0.1408, 0.5910, 0.4828], [0.1579, 0.1082, 0.5172], [0.2372, 0.4872, 0.7500], [0.2500, 0.4579, 0.2079], [0.2500, 0.9579, 0.7079], [0.2628, 0.0128, 0.2500], [0.3421, 0.8592, 0.9503], [0.3592, 0.8421, 0.4503], [0.3918, 0.3421, 0.9828], [0.4090, 0.3918, 0.5497], [0.4579, 0.7500, 0.2079], [0.4872, 0.2372, 0.2500], [0.5128, 0.7628, 0.7500], [0.5421, 0.2500, 0.7921], [0.5910, 0.6082, 0.4503], [0.6082, 0.6579, 0.0172], [0.6408, 0.1579, 0.5497], [0.6579, 0.1408, 0.0497], [0.7372, 0.9872, 0.7500], [0.7500, 0.0421, 0.2921], [0.7500, 0.5421, 0.7921], [0.7628, 0.5128, 0.2500], [0.8421, 0.8918, 0.4828], [0.8592, 0.4090, 0.5172], [0.8918, 0.9090, 0.0497], [0.9090, 0.3592, 0.0172], [0.9579, 0.7500, 0.7079], [0.9872, 0.7372, 0.2500]], "delta_e_f_ev_per_atom": -0.65, "energy_mp2020_ev_per_atom": -4.9472}


{"formula": "LiMnSe2", "functional": "PBE", "state": "optimized geometry", "lattice_angstrom": [[3.9934, 0.0000, 0.0000], [-1.9967, 3.4584, 0.0000], [0.0000, 0.0000, 6.5712]], "species": ["Li", "Mn", "Se", "Se"], "fractional_positions": [[0.0000, 0.0000, 0.0000], [0.3333, 0.6667, 0.5189], [0.3333, 0.6667, 0.1679], [0.6667, 0.3333, 0.6706]], "delta_e_f_ev_per_atom": -0.80, "energy_mp2020_ev_per_atom": -5.3187}


{"formula": "CsTmZnTe3", "functional": "PBE", "state": "optimized geometry", "lattice_angstrom": [[2.2033, -8.6600, 0.0000], [2.2033, 8.6600, 0.0000], [0.0000, 0.0000, 11.6417]], "species": ["Cs", "Cs", "Tm", "Tm", "Zn", "Zn", "Te", "Te", "Te", "Te", "Te", "Te"], "fractional_positions": [[0.2455, 0.7545, 0.7500], [0.7545, 0.2455, 0.2500], [0.5000, 0.5000, 0.0000], [0.5000, 0.5000, 0.5000], [0.0389, 0.9611, 0.2500], [0.9611, 0.0389, 0.7500], [0.1180, 0.8820, 0.0550], [0.1180, 0.8820, 0.4450], [0.4428, 0.5572, 0.2500], [0.5572, 0.4428, 0.7500], [0.8820, 0.1180, 0.5550], [0.8820, 0.1180, 0.9450]], "delta_e_f_ev_per_atom": -1.29, "energy_mp2020_ev_per_atom": -3.9697}


{"formula": "Rb2ScAgBr6", "functional": "PBE", "state": "optimized geometry", "lattice_angstrom": [[0.0000, 5.5346, 5.5346], [5.5346, 0.0000, 5.5346], [5.5346, 5.5346, 0.0000]], "species": ["Rb", "Rb", "Sc", "Ag", "Br", "Br", "Br", "Br", "Br", "Br"], "fractional_positions": [[0.2500, 0.2500, 0.2500], [0.7500, 0.7500, 0.7500], [0.0000, 0.0000, 0.0000], [0.5000, 0.5000, 0.5000], [0.2409, 0.2409, 0.7591], [0.2409, 0.7591, 0.2409], [0.2409, 0.7591, 0.7591], [0.7591, 0.2409, 0.2409], [0.7591, 0.2409, 0.7591], [0.7591, 0.7591, 0.2409]], "delta_e_f_ev_per_atom": -1.80, "energy_mp2020_ev_per_atom": -3.8953}


{"formula": "BaEuDySnO6", "functional": "PBE", "state": "optimized geometry", "lattice_angstrom": [[8.4181, 0.0000, 0.0000], [0.0000, 8.4652, 0.0000], [0.0000, 0.0000, 8.4701]], "species": ["Ba", "Ba", "Ba", "Ba", "Eu", "Eu", "Eu", "Eu", "Dy", "Dy", "Dy", "Dy", "Sn", "Sn", "Sn", "Sn", "O", "O", "O", "O", "O", "O", "O", "O", "O", "O", "O", "O", "O", "O", "O", "O", "O", "O", "O", "O", "O", "O", "O", "O"], "fractional_positions": [[0.2500, 0.2500, 0.2500], [0.2500, 0.7500, 0.7500], [0.7500, 0.2500, 0.2500], [0.7500, 0.7500, 0.7500], [0.2500, 0.2500, 0.7500], [0.2500, 0.7500, 0.2500], [0.7500, 0.2500, 0.7500], [0.7500, 0.7500, 0.2500], [0.0000, 0.0000, 0.0000], [0.0000, 0.5000, 0.5000], [0.5000, 0.0000, 0.5000], [0.5000, 0.5000, 0.0000], [0.0000, 0.0000, 0.5000], [0.0000, 0.5000, 0.0000], [0.5000, 0.0000, 0.0000], [0.5000, 0.5000, 0.5000], [0.0332, 0.0185, 0.2589], [0.0332, 0.4815, 0.2411], [0.0601, 0.7409, 0.0313], [0.0601, 0.7591, 0.4687], [0.2405, 0.0582, 0.5436], [0.2405, 0.4418, 0.9564], [0.2595, 0.0582, 0.9564], [0.2595, 0.4418, 0.5436], [0.4399, 0.7409, 0.4687], [0.4399, 0.7591, 0.0313], [0.4668, 0.0185, 0.2411], [0.4668, 0.4815, 0.2589], [0.5332, 0.5185, 0.7411], [0.5332, 0.9815, 0.7589], [0.5601, 0.2409, 0.9687], [0.5601, 0.2591, 0.5313], [0.7405, 0.5582, 0.4564], [0.7405, 0.9418, 0.0436], [0.7595, 0.5582, 0.0436], [0.7595, 0.9418, 0.4564], [0.9399, 0.2409, 0.5313], [0.9399, 0.2591, 0.9687], [0.9668, 0.5185, 0.7589], [0.9668, 0.9815, 0.7411]], "delta_e_f_ev_per_atom": -3.03, "energy_mp2020_ev_per_atom": -8.0754, "e_above_lowest_polymorph_mev_per_atom": 0.0}


{"formula": "PAuS", "functional": "PBE", "state": "optimized geometry", "lattice_angstrom": [[5.6583, 0.0000, 0.0000], [0.0000, 5.6987, 0.0000], [0.0000, 0.0000, 16.6385]], "species": ["P", "P", "P", "P", "P", "P", "P", "P", "Au", "Au", "Au", "Au", "Au", "Au", "Au", "Au", "S", "S", "S", "S", "S", "S", "S", "S"], "fractional_positions": [[0.1009, 0.0744, 0.1706], [0.1009, 0.4256, 0.6706], [0.3991, 0.5744, 0.1706], [0.3991, 0.9256, 0.6706], [0.6009, 0.0744, 0.3294], [0.6009, 0.4256, 0.8294], [0.8991, 0.5744, 0.3294], [0.8991, 0.9256, 0.8294], [0.0072, 0.6814, 0.1286], [0.0072, 0.8186, 0.6286], [0.4928, 0.1814, 0.1286], [0.4928, 0.3186, 0.6286], [0.5072, 0.6814, 0.3714], [0.5072, 0.8186, 0.8714], [0.9928, 0.1814, 0.3714], [0.9928, 0.3186, 0.8714], [0.0977, 0.7195, 0.9122], [0.0977, 0.7805, 0.4122], [0.4023, 0.2195, 0.9122], [0.4023, 0.2805, 0.4122], [0.5977, 0.7195, 0.5878], [0.5977, 0.7805, 0.0878], [0.9023, 0.2195, 0.5878], [0.9023, 0.2805, 0.0878]], "delta_e_f_ev_per_atom": -0.21, "energy_mp2020_ev_per_atom": -4.4883}


{"formula": "Zn3Bi2O7", "functional": "PBE", "state": "optimized geometry", "lattice_angstrom": [[10.0178, -2.8331, 0.0000], [10.0178, 2.8331, 0.0000], [0.0000, 0.0000, 5.5591]], "species": ["Zn", "Zn", "Zn", "Zn", "Zn", "Zn", "Bi", "Bi", "Bi", "Bi", "O", "O", "O", "O", "O", "O", "O", "O", "O", "O", "O", "O", "O", "O"], "fractional_positions": [[0.0852, 0.4946, 0.4624], [0.2384, 0.7616, 0.5000], [0.4946, 0.0852, 0.9624], [0.5054, 0.9148, 0.4624], [0.7616, 0.2384, 0.0000], [0.9148, 0.5054, 0.9624], [0.1350, 0.6553, 0.9908], [0.3447, 0.8650, 0.9908], [0.6553, 0.1350, 0.4908], [0.8650, 0.3447, 0.4908], [0.0480, 0.2441, 0.1536], [0.1008, 0.8992, 0.8412], [0.1613, 0.4231, 0.0997], [0.2441, 0.0480, 0.6536], [0.3365, 0.5148, 0.3355], [0.4231, 0.1613, 0.5997], [0.4852, 0.6635, 0.3355], [0.5148, 0.3365, 0.8355], [0.5769, 0.8387, 0.0997], [0.6635, 0.4852, 0.8355], [0.7559, 0.9520, 0.1536], [0.8387, 0.5769, 0.5997], [0.8992, 0.1008, 0.3412], [0.9520, 0.7559, 0.6536]], "delta_e_f_ev_per_atom": -1.54, "energy_mp2020_ev_per_atom": -5.3892}


{"formula": "K2NbF7", "functional": "PBE", "state": "optimized geometry", "lattice_angstrom": [[5.9557, 0.0000, 0.0000], [0.0000, 12.9175, 0.0000], [-0.0439, 0.0000, 8.7236]], "species": ["K", "K", "K", "K", "K", "K", "K", "K", "Nb", "Nb", "Nb", "Nb", "F", "F", "F", "F", "F", "F", "F", "F", "F", "F", "F", "F", "F", "F", "F", "F", "F", "F", "F", "F", "F", "F", "F", "F", "F", "F", "F", "F"], "fractional_positions": [[0.2382, 0.0586, 0.1809], [0.2382, 0.4414, 0.6809], [0.2377, 0.7154, 0.0535], [0.2377, 0.7846, 0.5535], [0.7623, 0.2154, 0.4465], [0.7623, 0.2846, 0.9465], [0.7618, 0.5586, 0.3191], [0.7618, 0.9414, 0.8191], [0.2700, 0.1292, 0.7243], [0.2700, 0.3708, 0.2243], [0.7300, 0.6292, 0.7757], [0.7300, 0.8708, 0.2757], [0.0429, 0.1080, 0.8908], [0.0433, 0.2441, 0.7013], [0.0433, 0.2559, 0.2013], [0.0429, 0.3920, 0.3908], [0.1820, 0.1214, 0.5065], [0.1820, 0.3786, 0.0065], [0.2104, 0.5219, 0.2167], [0.2104, 0.9781, 0.7167], [0.4426, 0.5788, 0.8671], [0.4426, 0.9212, 0.3671], [0.4568, 0.2419, 0.2132], [0.4568, 0.2581, 0.7132], [0.4622, 0.1099, 0.9112], [0.4622, 0.3901, 0.4112], [0.5378, 0.6099, 0.5888], [0.5378, 0.8901, 0.0888], [0.5432, 0.7419, 0.2868], [0.5432, 0.7581, 0.7868], [0.5574, 0.0788, 0.6329], [0.5574, 0.4212, 0.1329], [0.7896, 0.0219, 0.2833], [0.7896, 0.4781, 0.7833], [0.8180, 0.6214, 0.9935], [0.8180, 0.8786, 0.4935], [0.9571, 0.6080, 0.6092], [0.9567, 0.7441, 0.7987], [0.9567, 0.7559, 0.2987], [0.9571, 0.8920, 0.1092]], "delta_e_f_ev_per_atom": -3.37, "energy_mp2020_ev_per_atom": -5.9473}


{"formula": "Na5Nd4Ge4O16F", "functional": "PBE", "state": "optimized geometry", "lattice_angstrom": [[-6.0916, 6.0916, 2.8701], [6.0916, -6.0916, 2.8701], [6.0916, 6.0916, -2.8701]], "species": ["Na", "Na", "Na", "Na", "Na", "Nd", "Nd", "Nd", "Nd", "Ge", "Ge", "Ge", "Ge", "O", "O", "O", "O", "O", "O", "O", "O", "O", "O", "O", "O", "O", "O", "O", "O", "F"], "fractional_positions": [[0.0000, 0.0000, 0.0000], [0.1227, 0.4302, 0.5171], [0.3944, 0.8773, 0.3076], [0.5698, 0.0868, 0.6924], [0.9132, 0.6056, 0.4829], [0.3424, 0.6398, 0.9333], [0.3602, 0.2935, 0.7026], [0.5909, 0.6576, 0.2974], [0.7065, 0.4091, 0.0667], [0.0930, 0.7425, 0.8562], [0.2575, 0.1137, 0.3505], [0.7632, 0.9070, 0.6495], [0.8863, 0.2368, 0.1438], [0.0610, 0.2364, 0.7570], [0.1363, 0.6371, 0.7169], [0.1637, 0.7194, 0.0365], [0.1849, 0.4102, 0.1302], [0.2800, 0.0547, 0.8698], [0.2806, 0.3171, 0.4443], [0.3629, 0.0798, 0.4993], [0.4794, 0.3040, 0.2430], [0.5806, 0.8637, 0.5007], [0.5898, 0.7200, 0.7747], [0.6829, 0.1272, 0.9635], [0.6960, 0.9390, 0.1754], [0.7636, 0.5206, 0.8246], [0.8728, 0.8363, 0.5557], [0.9202, 0.4194, 0.2831], [0.9453, 0.8151, 0.2253], [0.5000, 0.5000, 0.0000]], "delta_e_f_ev_per_atom": -2.79, "energy_mp2020_ev_per_atom": -6.9690}


{"formula": "NaCu4Sb2", "functional": "PBE", "state": "optimized geometry", "lattice_angstrom": [[2.1415, 1.2364, 8.4237], [-2.1415, 1.2364, 8.4237], [0.0000, -2.4728, 8.4237]], "species": ["Na", "Cu", "Cu", "Cu", "Cu", "Sb", "Sb"], "fractional_positions": [[0.0000, 0.0000, 0.0000], [0.1425, 0.1425, 0.1425], [0.4494, 0.4494, 0.4494], [0.5506, 0.5506, 0.5506], [0.8575, 0.8575, 0.8575], [0.2494, 0.2494, 0.2494], [0.7506, 0.7506, 0.7506]], "delta_e_f_ev_per_atom": -0.15, "energy_mp2020_ev_per_atom": -3.8653}